No. 1
# Tb3P6Pd20

An optimized crystal structure of Tb3P6Pd20 (r2SCAN, Materials Project).

Crystal system: cubic
ΔH_f (0 K), eV/atom: -0.762
Calculated density, Mg/m³: 10.21
Total energy, eV per atom: -21.690

Geometry as extended XYZ:
```
29
Lattice="0.000 6.099 6.099 6.099 0.000 6.099 6.099 6.099 0.000" Properties=species:S:1:pos:R:3 pbc="T T T"
Tb 3.050 3.050 3.050
Tb 9.149 9.149 9.149
Tb 0.000 0.000 0.000
P 3.206 6.099 6.099
P 8.992 6.099 6.099
P 6.099 3.206 6.099
P 6.099 8.992 6.099
P 6.099 6.099 3.206
P 6.099 6.099 8.992
Pd 4.692 4.692 4.692
Pd 7.507 7.507 7.507
Pd 7.507 7.507 4.692
Pd 7.507 4.692 7.507
Pd 4.692 4.692 7.507
Pd 4.692 7.507 4.692
Pd 4.692 7.507 7.507
Pd 7.507 4.692 4.692
Pd 0.000 2.108 2.108
Pd 0.000 3.991 3.991
Pd 6.099 3.991 2.108
Pd 6.099 2.108 3.991
Pd 2.108 0.000 2.108
Pd 2.108 6.099 3.991
Pd 3.991 0.000 3.991
Pd 3.991 6.099 2.108
Pd 2.108 2.108 0.000
Pd 3.991 3.991 0.000
Pd 2.108 3.991 6.099
Pd 3.991 2.108 6.099
```



No. 2
# EuSi2Ru2

An optimized crystal structure of EuSi2Ru2 (r2SCAN, Materials Project).

Crystal system: tetragonal
ΔH_f (0 K), eV/atom: -0.815
Calculated density, Mg/m³: 7.80
Total energy, eV per atom: -22.198

Geometry as extended XYZ:
```
5
Lattice="-2.105 2.105 4.925 2.105 -2.105 4.925 2.105 2.105 -4.925" Properties=species:S:1:pos:R:3 pbc="T T T"
Eu 0.000 0.000 0.000
Si 0.000 0.000 3.547
Si 0.000 0.000 6.303
Ru 2.105 0.000 2.463
Ru 0.000 2.105 2.463
```



No. 3
# PaP2

An optimized crystal structure of PaP2 (r2SCAN, Materials Project).

Crystal system: tetragonal
ΔH_f (0 K), eV/atom: -1.144
Calculated density, Mg/m³: 8.30
Total energy, eV per atom: -32.764

Geometry as extended XYZ:
```
6
Lattice="3.871 0.000 0.000 0.000 3.871 0.000 0.000 0.000 7.823" Properties=species:S:1:pos:R:3 pbc="T T T"
Pa 2.904 2.904 5.664
Pa 0.968 0.968 2.159
P 2.904 2.904 2.824
P 0.968 0.968 4.999
P 2.904 0.968 0.000
P 0.968 2.904 0.000
```



Q: Among the records above, which one has the highest total energy?
A: Tb3P6Pd20



Q: total energy of number 1 (Tb3P6Pd20)?
A: -21.690 eV per atom



What did the third record say?
# PaP2

An optimized crystal structure of PaP2 (r2SCAN, Materials Project).

Crystal system: tetragonal
ΔH_f (0 K), eV/atom: -1.144
Calculated density, Mg/m³: 8.30
Total energy, eV per atom: -32.764

Geometry as extended XYZ:
```
6
Lattice="3.871 0.000 0.000 0.000 3.871 0.000 0.000 0.000 7.823" Properties=species:S:1:pos:R:3 pbc="T T T"
Pa 2.904 2.904 5.664
Pa 0.968 0.968 2.159
P 2.904 2.904 2.824
P 0.968 0.968 4.999
P 2.904 0.968 0.000
P 0.968 2.904 0.000
```